Entry from the Materials Project: a relaxed Au2S crystal (PBE).

Calculated values
ΔH_f (0 K): -240 meV per atom

a b c (Å): 5.347 5.347 5.347
angles (deg): 90.00 90.00 90.00
Element x y z (fractional)
Au 0.000 0.000 0.000
Au 0.000 0.500 0.500
Au 0.500 0.000 0.500
Au 0.500 0.500 0.000
S 0.250 0.250 0.250
S 0.750 0.750 0.750


Entry from the Materials Project: a relaxed Rb2Y2P3O12 crystal (PBE).

Calculated values
ΔH_f (0 K): -3095 meV per atom

a b c (Å): 10.804 10.804 10.804
angles (deg): 90.00 90.00 90.00
Element x y z (fractional)
Rb 0.046 0.046 0.046
Rb 0.181 0.319 0.681
Rb 0.319 0.681 0.181
Rb 0.454 0.954 0.546
Rb 0.546 0.454 0.954
Rb 0.681 0.181 0.319
Rb 0.819 0.819 0.819
Rb 0.954 0.546 0.454
Y 0.103 0.897 0.397
Y 0.168 0.668 0.832
Y 0.332 0.332 0.332
Y 0.397 0.103 0.897
Y 0.603 0.603 0.603
Y 0.668 0.832 0.168
Y 0.832 0.168 0.668
Y 0.897 0.397 0.103
P 0.014 0.212 0.374
P 0.126 0.986 0.712
P 0.212 0.374 0.014
P 0.288 0.626 0.514
P 0.374 0.014 0.212
P 0.486 0.788 0.874
P 0.514 0.288 0.626
P 0.626 0.514 0.288
P 0.712 0.126 0.986
P 0.788 0.874 0.486
P 0.874 0.486 0.788
P 0.986 0.712 0.126
O 0.007 0.066 0.726
O 0.016 0.075 0.332
O 0.047 0.791 0.228
O 0.066 0.726 0.007
O 0.075 0.332 0.016
O 0.101 0.853 0.760
O 0.147 0.260 0.399
O 0.168 0.984 0.575
O 0.209 0.728 0.453
O 0.226 0.493 0.934
O 0.228 0.047 0.791
O 0.240 0.601 0.647
O 0.260 0.399 0.147
O 0.272 0.953 0.291
O 0.274 0.507 0.434
O 0.291 0.272 0.953
O 0.332 0.016 0.075
O 0.353 0.740 0.899
O 0.399 0.147 0.260
O 0.425 0.668 0.516
O 0.434 0.274 0.507
O 0.453 0.209 0.728
O 0.484 0.925 0.832
O 0.493 0.934 0.226
O 0.507 0.434 0.274
O 0.516 0.425 0.668
O 0.547 0.709 0.772
O 0.566 0.774 0.993
O 0.575 0.168 0.984
O 0.601 0.647 0.240
O 0.647 0.240 0.601
O 0.668 0.516 0.425
O 0.709 0.772 0.547
O 0.726 0.007 0.066
O 0.728 0.453 0.209
O 0.740 0.899 0.353
O 0.760 0.101 0.853
O 0.772 0.547 0.709
O 0.774 0.993 0.566
O 0.791 0.228 0.047
O 0.832 0.484 0.925
O 0.853 0.760 0.101
O 0.899 0.353 0.740
O 0.925 0.832 0.484
O 0.934 0.226 0.493
O 0.953 0.291 0.272
O 0.984 0.575 0.168
O 0.993 0.566 0.774


Entry from the Materials Project: a relaxed Tb5Te9 crystal (PBE).

Calculated values
ΔH_f (0 K): -1282 meV per atom

a b c (Å): 11.717 16.098 11.953
angles (deg): 90.00 90.98 90.00
Element x y z (fractional)
Tb 0.000 0.000 0.000
Tb 0.000 0.350 0.000
Tb 0.030 0.881 0.745
Tb 0.056 0.504 0.688
Tb 0.234 0.744 0.488
Tb 0.241 0.385 0.440
Tb 0.252 0.486 0.016
Tb 0.343 0.043 0.082
Tb 0.378 0.781 0.796
Tb 0.413 0.251 0.839
Tb 0.500 0.275 0.500
Tb 0.500 0.896 0.500
Tb 0.587 0.251 0.161
Tb 0.622 0.781 0.204
Tb 0.657 0.043 0.918
Tb 0.748 0.486 0.984
Tb 0.759 0.385 0.560
Tb 0.766 0.744 0.512
Tb 0.944 0.504 0.312
Tb 0.970 0.881 0.255
Te 0.000 0.358 0.500
Te 0.000 0.547 0.000
Te 0.000 0.819 0.000
Te 0.000 0.833 0.500
Te 0.104 0.042 0.218
Te 0.116 0.695 0.717
Te 0.133 0.392 0.207
Te 0.166 0.563 0.457
Te 0.192 0.365 0.832
Te 0.209 0.778 0.241
Te 0.223 0.900 0.934
Te 0.278 0.910 0.616
Te 0.285 0.224 0.595
Te 0.302 0.593 0.802
Te 0.329 0.228 0.078
Te 0.397 0.892 0.253
Te 0.416 0.059 0.836
Te 0.441 0.379 0.280
Te 0.500 0.458 0.500
Te 0.500 0.464 0.000
Te 0.500 0.712 0.500
Te 0.500 0.739 0.000
Te 0.559 0.379 0.720
Te 0.584 0.059 0.164
Te 0.603 0.892 0.747
Te 0.671 0.228 0.922
Te 0.698 0.593 0.198
Te 0.715 0.224 0.405
Te 0.722 0.910 0.384
Te 0.777 0.900 0.066
Te 0.791 0.778 0.759
Te 0.808 0.365 0.168
Te 0.834 0.563 0.543
Te 0.867 0.392 0.793
Te 0.884 0.695 0.283
Te 0.896 0.042 0.782


Entry from the Materials Project: a relaxed Ce3Sb3Au2 crystal (PBE).

Calculated values
ΔH_f (0 K): -865 meV per atom

a b c (Å): 4.656 4.656 23.783
angles (deg): 90.00 90.00 120.00
Element x y z (fractional)
Ce 0.333 0.667 0.075
Ce 0.333 0.667 0.250
Ce 0.333 0.667 0.425
Ce 0.667 0.333 0.575
Ce 0.667 0.333 0.750
Ce 0.667 0.333 0.925
Sb 0.000 0.000 0.000
Sb 0.000 0.000 0.500
Sb 0.333 0.667 0.653
Sb 0.333 0.667 0.847
Sb 0.667 0.333 0.153
Sb 0.667 0.333 0.347
Au 0.000 0.000 0.187
Au 0.000 0.000 0.313
Au 0.000 0.000 0.687
Au 0.000 0.000 0.813


Entry from the Materials Project: a relaxed Tb3In5S12 crystal (PBE).

Calculated values
ΔH_f (0 K): -1409 meV per atom

a b c (Å): 11.011 3.924 21.441
angles (deg): 90.00 95.96 90.00
Element x y z (fractional)
Tb 0.028 0.250 0.412
Tb 0.087 0.750 0.765
Tb 0.284 0.750 0.284
Tb 0.716 0.250 0.716
Tb 0.913 0.250 0.235
Tb 0.972 0.750 0.588
In 0.164 0.750 0.112
In 0.241 0.250 0.941
In 0.349 0.750 0.472
In 0.353 0.250 0.668
In 0.457 0.750 0.827
In 0.543 0.250 0.173
In 0.647 0.750 0.332
In 0.651 0.250 0.528
In 0.759 0.750 0.059
In 0.836 0.250 0.888
S 0.035 0.750 0.315
S 0.062 0.250 0.859
S 0.123 0.750 0.491
S 0.130 0.250 0.037
S 0.162 0.250 0.210
S 0.202 0.750 0.652
S 0.277 0.250 0.386
S 0.292 0.250 0.784
S 0.382 0.750 0.940
S 0.390 0.750 0.158
S 0.421 0.250 0.552
S 0.484 0.250 0.289
S 0.516 0.750 0.711
S 0.579 0.750 0.448
S 0.610 0.250 0.842
S 0.618 0.250 0.060
S 0.708 0.750 0.216
S 0.723 0.750 0.614
S 0.798 0.250 0.348
S 0.838 0.750 0.790
S 0.870 0.750 0.963
S 0.877 0.250 0.509
S 0.938 0.750 0.141
S 0.965 0.250 0.685


Entry from the Materials Project: a relaxed Si2Rh3 crystal (PBE).

Calculated values
ΔH_f (0 K): -810 meV per atom

a b c (Å): 3.999 3.999 5.126
angles (deg): 90.00 90.00 120.00
Element x y z (fractional)
Si 0.333 0.667 0.200
Si 0.667 0.333 0.800
Rh 0.000 0.000 0.000
Rh 0.333 0.667 0.673
Rh 0.667 0.333 0.327